1.
This record from the Materials Project describes Kr after structural relaxation. The functional is meta-GGA r2SCAN.

a = 4.034 Å, b = 4.034 Å, c = 10.383 Å
α = 101.56°, β = 78.44°, γ = 120.43°
Element x y z (fractional)
Kr1 0.223 0.777 0.334
Kr2 0.000 0.000 0.000
Kr3 0.777 0.223 0.666

Properties
The value obtained for the total moment is 0.0 μB/f.u. As for the calculated density: 2.95 g/cm3. As for the calculated total energy: -37.8 eV per cell. Its symmetry is No. 12.



2.
This record from the Materials Project describes K3ScBr6 after structural relaxation. The functional is meta-GGA r2SCAN.

a = 8.059 Å, b = 8.059 Å, c = 8.059 Å
α = 60.00°, β = 60.00°, γ = 60.00°
Element x y z (fractional)
K1 0.500 0.500 0.500
Br1 0.769 0.231 0.769
Sc1 0.000 0.000 0.000
Br2 0.231 0.231 0.769
Br3 0.231 0.769 0.231
Br4 0.769 0.769 0.231
K2 0.250 0.250 0.250
K3 0.750 0.750 0.750
Br5 0.231 0.769 0.769
Br6 0.769 0.231 0.231

Properties
The value obtained for the total moment is 0.0 μB/f.u. As for the calculated density: 2.88 g/cm3. As for the calculated total energy: -128.3 eV per cell. Its symmetry is No. 225.



3.
This record from the Materials Project describes Y5Pt3 after structural relaxation. The functional is meta-GGA r2SCAN.

a = 8.454 Å, b = 8.454 Å, c = 6.189 Å
α = 90.00°, β = 90.00°, γ = 120.00°
Element x y z (fractional)
Pt1 0.606 0.606 0.250
Y1 0.248 0.000 0.750
Pt2 0.606 0.000 0.750
Pt3 0.394 0.000 0.250
Y2 0.752 0.000 0.250
Y3 0.667 0.333 0.000
Y4 0.667 0.333 0.500
Y5 0.000 0.752 0.250
Y6 0.333 0.667 0.500
Pt4 0.394 0.394 0.750
Y7 0.248 0.248 0.250
Y8 0.000 0.248 0.750
Pt5 0.000 0.394 0.250
Y9 0.333 0.667 0.000
Pt6 0.000 0.606 0.750
Y10 0.752 0.752 0.750

Properties
The value obtained for the total moment is 0.0 μB/f.u. As for the calculated density: 8.93 g/cm3. As for the calculated total energy: -529.0 eV per cell. Its symmetry is No. 193.



4.
This record from the Materials Project describes Mo2WS6 after structural relaxation. The functional is meta-GGA r2SCAN.

a = 3.184 Å, b = 3.184 Å, c = 27.902 Å
α = 90.05°, β = 90.00°, γ = 120.00°
Element x y z (fractional)
S1 0.667 0.334 0.060
S2 0.667 0.333 0.634
Mo1 0.667 0.333 0.347
S3 0.667 0.335 0.171
S4 0.333 0.667 0.403
S5 0.666 0.332 0.522
S6 0.333 0.666 0.292
Mo2 0.334 0.668 0.116
W1 0.333 0.666 0.578

Properties
The value obtained for the total moment is 0.0 μB/f.u. As for the calculated density: 3.85 g/cm3. As for the calculated total energy: -160.1 eV per cell. Its symmetry is No. 8.



5.
This record from the Materials Project describes NaTl after structural relaxation. The functional is meta-GGA r2SCAN.

a = 5.288 Å, b = 5.288 Å, c = 5.288 Å
α = 60.00°, β = 60.00°, γ = 60.00°
Element x y z (fractional)
Na1 0.875 0.875 0.875
Tl1 0.625 0.625 0.625
Na2 0.125 0.125 0.125
Tl2 0.375 0.375 0.375

Properties
The value obtained for the total moment is 0.0 μB/f.u. As for the calculated density: 7.22 g/cm3. As for the calculated total energy: -114.2 eV per cell. Its symmetry is No. 227.



6.
This record from the Materials Project describes Tm5Te4Se after structural relaxation. The functional is meta-GGA r2SCAN.

a = 7.333 Å, b = 7.333 Å, c = 10.364 Å
α = 61.90°, β = 61.90°, γ = 33.57°
Element x y z (fractional)
Tm1 0.183 0.183 0.728
Se1 0.000 0.000 0.000
Tm2 0.419 0.419 0.911
Tm3 0.581 0.581 0.089
Te1 0.608 0.608 0.591
Tm4 0.817 0.817 0.272
Te2 0.196 0.196 0.191
Tm5 0.000 0.000 0.500
Te3 0.804 0.804 0.809
Te4 0.392 0.392 0.409

Properties
The value obtained for the total moment is 0.0 μB/f.u. As for the calculated density: 8.88 g/cm3. As for the calculated total energy: -306.5 eV per cell. Its symmetry is No. 12.